(1)
CaB3H13O12 PBE-GGA optimized geometry; ΔH_f (0 K) = -1856 meV/atom; corrected total energy (MP2020 scheme) = -6.184 eV per atom
1.0
12.1132 0.0000 0.0000
0.0000 8.3938 0.0000
0.0000 4.3720 9.7299
Ca B H O
4 12 52 48
Direct
0.8713 0.8389 0.0206
0.6287 0.8389 0.5206
0.1287 0.1611 0.9794
0.3713 0.1611 0.4794
0.1076 0.8336 0.9201
0.3924 0.8336 0.4201
0.8924 0.1664 0.0799
0.6076 0.1664 0.5799
0.9625 0.0269 0.7367
0.5375 0.0269 0.2367
0.0375 0.9731 0.2633
0.4625 0.9731 0.7633
0.0731 0.7950 0.7046
0.4269 0.7950 0.2046
0.9269 0.2050 0.2954
0.5731 0.2050 0.7954
0.2571 0.8244 0.0238
0.2429 0.8244 0.5238
0.7429 0.1756 0.9762
0.7571 0.1756 0.4762
0.0978 0.6776 0.1314
0.4022 0.6776 0.6314
0.9022 0.3224 0.8686
0.5978 0.3224 0.3686
0.7933 0.0382 0.7075
0.7067 0.0382 0.2075
0.2067 0.9618 0.2925
0.2933 0.9618 0.7925
0.9348 0.2926 0.6498
0.5652 0.2926 0.1498
0.0652 0.7074 0.3502
0.4348 0.7074 0.8502
0.0621 0.7491 0.5326
0.4379 0.7491 0.0326
0.9379 0.2509 0.4674
0.5621 0.2509 0.9674
0.6220 0.8389 0.0908
0.8780 0.8389 0.5908
0.3780 0.1611 0.9092
0.1220 0.1611 0.4092
0.6179 0.7951 0.9633
0.8821 0.7951 0.4633
0.3821 0.2049 0.0367
0.1179 0.2049 0.5367
0.9062 0.6908 0.3095
0.5938 0.6908 0.8095
0.0938 0.3092 0.6905
0.4062 0.3092 0.1905
0.8634 0.5174 0.3008
0.6366 0.5174 0.8008
0.1366 0.4826 0.6992
0.3634 0.4826 0.1992
0.8874 0.5078 0.9587
0.6126 0.5078 0.4587
0.1126 0.4922 0.0413
0.3874 0.4922 0.5413
0.7898 0.6264 0.8713
0.7102 0.6264 0.3713
0.2102 0.3736 0.1287
0.2898 0.3736 0.6287
0.7646 0.3588 0.6836
0.7354 0.3588 0.1836
0.2354 0.6412 0.3164
0.2646 0.6412 0.8164
0.8312 0.5374 0.6381
0.6688 0.5374 0.1381
0.1688 0.4626 0.3619
0.3312 0.4626 0.8619
0.2089 0.9078 0.9537
0.2911 0.9078 0.4537
0.7911 0.0922 0.0463
0.7089 0.0922 0.5463
0.0572 0.6961 0.0463
0.4428 0.6961 0.5463
0.9428 0.3039 0.9537
0.5572 0.3039 0.4537
0.8476 0.0132 0.7821
0.6524 0.0132 0.2821
0.1524 0.9868 0.2179
0.3476 0.9868 0.7179
0.9871 0.2111 0.6324
0.5129 0.2111 0.1324
0.0129 0.7889 0.3676
0.4871 0.7889 0.8676
0.1042 0.7108 0.6208
0.3958 0.7108 0.1208
0.8958 0.2892 0.3792
0.6042 0.2892 0.8792
0.6668 0.7845 0.0400
0.8332 0.7845 0.5400
0.3332 0.2155 0.9600
0.1668 0.2155 0.4600
0.8485 0.6444 0.2658
0.6515 0.6444 0.7658
0.1515 0.3556 0.7342
0.3485 0.3556 0.2342
0.8452 0.6160 0.9414
0.6548 0.6160 0.4414
0.1548 0.3840 0.0586
0.3452 0.3840 0.5586
0.8372 0.4091 0.6904
0.6628 0.4091 0.1904
0.1628 0.5909 0.3096
0.3372 0.5909 0.8096
0.0302 0.9814 0.8616
0.4698 0.9814 0.3616
0.9698 0.0186 0.1384
0.5302 0.0186 0.6384
0.1339 0.7556 0.8211
0.3661 0.7556 0.3211
0.8661 0.2444 0.1789
0.6339 0.2444 0.6789
0.9868 0.9107 0.6657
0.5132 0.9107 0.1657
0.0132 0.0893 0.3343
0.4868 0.0893 0.8343

=====

(2)
CaB6H3O12 PBE-GGA optimized geometry; ΔH_f (0 K) = -1786 meV/atom; corrected total energy (MP2020 scheme) = -6.861 eV per atom
1.0
-10.7306 10.2355 7.2987
-4.4143 -4.8756 0.3475
-0.3285 -7.6504 10.2457
Ca B H O
4 24 12 48
Direct
0.7444 0.3042 0.3054
0.2556 0.6958 0.6946
0.2444 0.6958 0.1946
0.7556 0.3042 0.8054
0.5639 0.4049 0.2660
0.4361 0.5951 0.7340
0.0639 0.5951 0.2340
0.9361 0.4049 0.7660
0.4396 0.8130 0.4174
0.5604 0.1870 0.5826
0.9396 0.1870 0.0826
0.0604 0.8130 0.9174
0.7613 0.6872 0.3704
0.2387 0.3128 0.6296
0.2613 0.3128 0.1296
0.7387 0.6872 0.8704
0.7760 0.7865 0.0225
0.2240 0.2135 0.9775
0.2760 0.2135 0.4775
0.7240 0.7865 0.5225
0.8103 0.3908 0.0571
0.1897 0.6092 0.9429
0.3103 0.6092 0.4429
0.6897 0.3908 0.5571
0.8139 0.9532 0.1560
0.1861 0.0468 0.8440
0.3139 0.0468 0.3440
0.6861 0.9532 0.6560
0.9521 0.7493 0.4128
0.0479 0.2507 0.5872
0.4521 0.2507 0.0872
0.5479 0.7493 0.9128
0.3977 0.7963 0.1317
0.6023 0.2037 0.8683
0.8977 0.2037 0.3683
0.1023 0.7963 0.6317
0.1105 0.9429 0.3781
0.8895 0.0571 0.6219
0.6105 0.0571 0.1219
0.3895 0.9429 0.8781
0.7952 0.5574 0.1006
0.2048 0.4426 0.8994
0.2952 0.4426 0.3994
0.7048 0.5574 0.6006
0.7905 0.7333 0.2620
0.2095 0.2667 0.7380
0.2905 0.2667 0.2380
0.7095 0.7333 0.7620
0.2871 0.8381 0.3407
0.7129 0.1619 0.6593
0.7871 0.1619 0.1593
0.2129 0.8381 0.8407
0.7540 0.8550 0.4062
0.2460 0.1450 0.5938
0.2540 0.1450 0.0938
0.7460 0.8550 0.9062
0.5231 0.8159 0.4267
0.4769 0.1841 0.5733
0.0231 0.1841 0.0733
0.9769 0.8159 0.9267
0.1056 0.8033 0.1886
0.8944 0.1967 0.8114
0.6056 0.1967 0.3114
0.3944 0.8033 0.6886
0.9851 0.5412 0.2364
0.0149 0.4588 0.7636
0.4851 0.4588 0.2636
0.5149 0.5412 0.7364
0.8967 0.3908 0.0271
0.1033 0.6092 0.9729
0.3967 0.6092 0.4729
0.6033 0.3908 0.5271
0.7380 0.4581 0.4464
0.2620 0.5419 0.5536
0.2380 0.5419 0.0536
0.7620 0.4581 0.9464
0.7820 0.9656 0.0451
0.2180 0.0344 0.9549
0.2820 0.0344 0.4549
0.7180 0.9656 0.5451
0.6249 0.5690 0.2107
0.3751 0.4310 0.7893
0.1249 0.4310 0.2893
0.8751 0.5690 0.7107
0.9049 0.9680 0.1506
0.0951 0.0320 0.8494
0.4049 0.0320 0.3494
0.5951 0.9680 0.6506

=====

(3)
CaB3H7O9 PBE-GGA optimized geometry; ΔH_f (0 K) = -2127 meV/atom; corrected total energy (MP2020 scheme) = -6.643 eV per atom
1.0
6.5221 0.0000 0.0000
1.3626 6.5325 0.0000
0.1014 0.4640 8.4194
Ca B H O
2 6 14 18
Direct
0.7554 0.0114 0.3763
0.2446 0.9886 0.6237
0.5148 0.3162 0.7989
0.4852 0.6838 0.2011
0.8342 0.2878 0.6320
0.1658 0.7122 0.3680
0.3007 0.0398 0.2646
0.6993 0.9602 0.7354
0.3491 0.5692 0.8996
0.6509 0.4308 0.1004
0.8508 0.4572 0.4208
0.1492 0.5428 0.5792
0.3562 0.3176 0.3494
0.6438 0.6824 0.6506
0.2696 0.2529 0.0647
0.7304 0.7471 0.9353
0.0528 0.3732 0.7794
0.9472 0.6268 0.2206
0.7729 0.0504 0.0296
0.2271 0.9496 0.9704
0.9385 0.1657 0.1038
0.0615 0.8343 0.8962
0.6722 0.4039 0.7357
0.3278 0.5961 0.2643
0.3543 0.4212 0.8903
0.6457 0.5788 0.1097
0.5079 0.1140 0.7777
0.4921 0.8860 0.2223
0.7954 0.3376 0.4625
0.2046 0.6624 0.5375
0.8513 0.0620 0.6524
0.1487 0.9380 0.3476
0.3808 0.1698 0.3790
0.6192 0.8302 0.6210
0.7878 0.1529 0.1072
0.2122 0.8471 0.8928
0.1989 0.1524 0.1209
0.8011 0.8476 0.8791
0.0430 0.3335 0.6707
0.9570 0.6665 0.3293